(1)
Below is crystalline MnC4BrO4 at its relaxed geometry, with properties calculated at the GGA+U level.

Unit cell a=11.959 b=9.769 c=13.036 alpha=70.66 beta=90.00 gamma=90.00
Positions (direct):
Mn 0.126 0.813 0.719
Mn 0.874 0.187 0.281
Mn 0.374 0.813 0.219
Mn 0.377 0.398 0.321
Mn 0.626 0.187 0.781
Mn 0.877 0.602 0.179
Mn 0.623 0.602 0.679
Mn 0.123 0.398 0.821
C 0.718 0.193 0.662
C 0.461 0.955 0.243
C 0.971 0.738 0.088
C 0.529 0.738 0.588
C 0.967 0.195 0.395
C 0.787 0.599 0.061
C 0.286 0.952 0.125
C 0.213 0.401 0.939
C 0.533 0.195 0.895
C 0.289 0.256 0.300
C 0.211 0.256 0.800
C 0.464 0.412 0.197
C 0.039 0.955 0.743
C 0.961 0.045 0.257
C 0.036 0.412 0.697
C 0.214 0.952 0.625
C 0.467 0.805 0.105
C 0.029 0.262 0.912
C 0.714 0.048 0.875
C 0.218 0.807 0.838
C 0.713 0.599 0.561
C 0.789 0.744 0.200
C 0.964 0.588 0.303
C 0.539 0.045 0.757
C 0.536 0.588 0.803
C 0.287 0.401 0.439
C 0.033 0.805 0.605
C 0.782 0.193 0.162
C 0.786 0.048 0.375
C 0.282 0.807 0.338
C 0.711 0.744 0.700
C 0.471 0.262 0.412
Br 0.493 0.607 0.347
Br 0.757 0.395 0.305
Br 0.007 0.607 0.847
Br 0.993 0.393 0.153
Br 0.243 0.605 0.695
Br 0.743 0.395 0.805
Br 0.257 0.605 0.195
Br 0.507 0.393 0.653
O 0.732 0.957 0.434
O 0.225 0.807 0.410
O 0.734 0.835 0.212
O 0.231 0.401 0.512
O 0.768 0.957 0.934
O 0.984 0.420 0.621
O 0.275 0.807 0.910
O 0.769 0.599 0.488
O 0.024 0.198 0.466
O 0.775 0.193 0.590
O 0.484 0.580 0.879
O 0.976 0.802 0.534
O 0.470 0.824 0.532
O 0.731 0.599 0.988
O 0.530 0.176 0.468
O 0.234 0.165 0.288
O 0.269 0.401 0.012
O 0.970 0.176 0.968
O 0.516 0.420 0.121
O 0.232 0.043 0.066
O 0.268 0.043 0.566
O 0.987 0.047 0.756
O 0.013 0.953 0.244
O 0.476 0.198 0.966
O 0.016 0.580 0.379
O 0.487 0.953 0.744
O 0.266 0.165 0.788
O 0.513 0.047 0.256
O 0.725 0.193 0.090
O 0.030 0.824 0.032
O 0.524 0.802 0.034
O 0.766 0.835 0.712

## Properties
- calculated volume (A^3/atom) = 18.0
- space group = No. 14
- magnetic moment (μB per formula unit) = 0.00
- electronic total energy (hartree per atom) = -0.260
- energy with MP2020 corrections (eV per atom) = -7.508

(2)
Below is crystalline MnC5BrO5 at its relaxed geometry, with properties calculated at the GGA+U level.

Unit cell a=6.165 b=11.469 c=11.842 alpha=90.00 beta=90.00 gamma=90.00
Positions (direct):
Mn 0.551 0.750 0.380
Mn 0.949 0.750 0.880
Mn 0.051 0.250 0.120
Mn 0.449 0.250 0.620
C 0.565 0.134 0.716
C 0.435 0.634 0.284
C 0.187 0.368 0.034
C 0.065 0.866 0.784
C 0.313 0.368 0.534
C 0.435 0.866 0.284
C 0.065 0.634 0.784
C 0.313 0.132 0.534
C 0.187 0.132 0.034
C 0.813 0.868 0.966
C 0.935 0.366 0.216
C 0.190 0.750 0.972
C 0.565 0.366 0.716
C 0.935 0.134 0.216
C 0.813 0.632 0.966
C 0.310 0.750 0.472
C 0.687 0.632 0.466
C 0.810 0.250 0.028
C 0.690 0.250 0.528
C 0.687 0.868 0.466
Br 0.615 0.750 0.753
Br 0.115 0.250 0.747
Br 0.885 0.750 0.253
Br 0.385 0.250 0.247
O 0.867 0.437 0.275
O 0.340 0.750 0.031
O 0.660 0.250 0.969
O 0.735 0.943 0.016
O 0.840 0.250 0.469
O 0.765 0.943 0.516
O 0.265 0.443 0.984
O 0.133 0.937 0.725
O 0.867 0.063 0.275
O 0.160 0.750 0.531
O 0.133 0.563 0.725
O 0.265 0.057 0.984
O 0.633 0.063 0.775
O 0.633 0.437 0.775
O 0.367 0.563 0.225
O 0.235 0.057 0.484
O 0.735 0.557 0.016
O 0.235 0.443 0.484
O 0.367 0.937 0.225
O 0.765 0.557 0.516

## Properties
- calculated volume (A^3/atom) = 17.4
- space group = No. 62
- magnetic moment (μB per formula unit) = 0.00
- electronic total energy (hartree per atom) = -0.263
- energy with MP2020 corrections (eV per atom) = -7.595

(3)
Below is crystalline Mn2SnC10BrO10 at its relaxed geometry, with properties calculated at the GGA+U level.

Unit cell a=12.605 b=16.794 c=17.404 alpha=71.90 beta=90.00 gamma=90.00
Positions (direct):
Mn 0.172 0.606 0.340
Mn 0.943 0.918 0.337
Mn 0.443 0.082 0.163
Mn 0.828 0.394 0.660
Mn 0.328 0.606 0.840
Mn 0.162 0.813 0.078
Mn 0.698 0.705 0.320
Mn 0.802 0.705 0.820
Mn 0.338 0.813 0.578
Mn 0.198 0.295 0.180
Mn 0.838 0.187 0.922
Mn 0.302 0.295 0.680
Mn 0.557 0.918 0.837
Mn 0.672 0.394 0.160
Mn 0.057 0.082 0.663
Mn 0.662 0.187 0.422
Sn 0.623 0.800 0.765
Sn 0.055 0.714 0.213
Sn 0.877 0.800 0.265
Sn 0.123 0.200 0.735
Sn 0.945 0.286 0.787
Sn 0.445 0.714 0.713
Sn 0.377 0.200 0.235
Sn 0.555 0.286 0.287
C 0.055 0.607 0.404
C 0.402 0.909 0.589
C 0.170 0.291 0.286
C 0.192 0.088 0.620
C 0.515 0.998 0.882
C 0.793 0.290 0.929
C 0.754 0.466 0.578
C 0.282 0.614 0.266
C 0.330 0.291 0.786
C 0.707 0.290 0.429
C 0.455 0.803 0.515
C 0.746 0.466 0.078
C 0.515 0.829 0.926
C 0.611 0.479 0.194
C 0.718 0.386 0.734
C 0.636 0.811 0.295
C 0.269 0.812 0.151
C 0.731 0.188 0.849
C 0.599 0.999 0.742
C 0.401 0.001 0.258
C 0.445 0.607 0.904
C 0.389 0.521 0.806
C 0.598 0.091 0.411
C 0.864 0.811 0.795
C 0.830 0.709 0.714
C 0.776 0.300 0.639
C 0.808 0.912 0.380
C 0.218 0.614 0.766
C 0.985 0.829 0.426
C 0.293 0.710 0.571
C 0.774 0.607 0.336
C 0.901 0.999 0.242
C 0.231 0.812 0.651
C 0.742 0.126 0.507
C 0.111 0.521 0.306
C 0.254 0.534 0.922
C 0.274 0.393 0.164
C 0.226 0.393 0.664
C 0.045 0.803 0.015
C 0.574 0.085 0.211
C 0.224 0.700 0.361
C 0.425 0.349 0.640
C 0.955 0.197 0.985
C 0.098 0.909 0.089
C 0.889 0.479 0.694
C 0.485 0.002 0.118
C 0.758 0.126 0.007
C 0.759 0.708 0.922
C 0.074 0.915 0.289
C 0.782 0.386 0.234
C 0.259 0.292 0.578
C 0.099 0.001 0.758
C 0.575 0.651 0.360
C 0.902 0.091 0.911
C 0.545 0.197 0.485
C 0.769 0.188 0.349
C 0.241 0.292 0.078
C 0.075 0.349 0.140
C 0.555 0.393 0.096
C 0.426 0.915 0.789
C 0.136 0.189 0.205
C 0.692 0.912 0.880
C 0.364 0.189 0.705
C 0.670 0.709 0.214
C 0.246 0.534 0.422
C 0.724 0.300 0.139
C 0.926 0.085 0.711
C 0.242 0.874 0.993
C 0.726 0.607 0.836
C 0.945 0.393 0.596
C 0.015 0.171 0.574
C 0.276 0.700 0.861
C 0.207 0.710 0.071
C 0.985 0.998 0.382
C 0.258 0.874 0.493
C 0.925 0.651 0.860
C 0.308 0.088 0.120
C 0.015 0.002 0.618
C 0.485 0.171 0.074
C 0.741 0.708 0.422
Br 0.818 0.882 0.119
Br 0.938 0.621 0.152
Br 0.318 0.118 0.381
Br 0.438 0.379 0.348
Br 0.182 0.118 0.881
Br 0.562 0.621 0.652
Br 0.062 0.379 0.848
Br 0.682 0.882 0.619
O 0.004 0.618 0.886
O 0.725 0.909 0.410
O 0.906 0.875 0.777
O 0.225 0.091 0.090
O 0.486 0.775 0.982
O 0.621 0.053 0.684
O 0.704 0.087 0.058
O 0.017 0.394 0.554
O 0.490 0.049 0.910
O 0.235 0.647 0.064
O 0.647 0.382 0.777
O 0.424 0.466 0.787
O 0.986 0.225 0.518
O 0.594 0.875 0.277
O 0.818 0.543 0.347
O 0.379 0.947 0.316
O 0.406 0.125 0.723
O 0.121 0.947 0.816
O 0.353 0.618 0.223
O 0.765 0.353 0.936
O 0.682 0.543 0.847
O 0.759 0.243 0.123
O 0.094 0.125 0.223
O 0.267 0.291 0.015
O 0.648 0.711 0.149
O 0.656 0.086 0.241
O 0.182 0.457 0.653
O 0.265 0.647 0.564
O 0.147 0.618 0.723
O 0.978 0.797 0.972
O 0.924 0.534 0.713
O 0.161 0.811 0.695
O 0.204 0.913 0.442
O 0.939 0.029 0.909
O 0.983 0.606 0.446
O 0.517 0.606 0.946
O 0.522 0.797 0.472
O 0.706 0.510 0.525
O 0.735 0.353 0.436
O 0.510 0.951 0.090
O 0.076 0.466 0.287
O 0.996 0.382 0.114
O 0.741 0.243 0.623
O 0.318 0.457 0.153
O 0.206 0.490 0.975
O 0.148 0.289 0.351
O 0.010 0.049 0.410
O 0.296 0.913 0.942
O 0.504 0.382 0.614
O 0.990 0.951 0.590
O 0.879 0.053 0.184
O 0.853 0.382 0.277
O 0.796 0.087 0.558
O 0.483 0.394 0.054
O 0.344 0.914 0.759
O 0.241 0.757 0.877
O 0.439 0.971 0.591
O 0.576 0.534 0.213
O 0.733 0.709 0.985
O 0.514 0.225 0.018
O 0.352 0.289 0.851
O 0.794 0.510 0.025
O 0.844 0.086 0.741
O 0.496 0.618 0.386
O 0.022 0.203 0.028
O 0.561 0.029 0.409
O 0.275 0.091 0.590
O 0.478 0.203 0.528
O 0.233 0.291 0.515
O 0.259 0.757 0.377
O 0.661 0.189 0.805
O 0.339 0.811 0.195
O 0.014 0.775 0.482
O 0.156 0.914 0.259
O 0.775 0.909 0.910
O 0.852 0.711 0.649
O 0.061 0.971 0.091
O 0.767 0.709 0.485
O 0.294 0.490 0.475
O 0.839 0.189 0.305

## Properties
- calculated volume (A^3/atom) = 18.2
- space group = No. 14
- magnetic moment (μB per formula unit) = 0.00
- electronic total energy (hartree per atom) = -0.266
- energy with MP2020 corrections (eV per atom) = -7.673

(4)
Below is crystalline Mn2SnC10Br2O10 at its relaxed geometry, with properties calculated at the GGA+U level.

Unit cell a=7.762 b=15.462 c=17.115 alpha=69.53 beta=90.00 gamma=90.00
Positions (direct):
Mn 0.853 0.823 0.361
Mn 0.355 0.638 0.112
Mn 0.647 0.823 0.861
Mn 0.855 0.362 0.388
Mn 0.353 0.177 0.139
Mn 0.145 0.638 0.612
Mn 0.147 0.177 0.639
Mn 0.645 0.362 0.888
Sn 0.640 0.241 0.048
Sn 0.360 0.759 0.952
Sn 0.140 0.759 0.452
Sn 0.860 0.241 0.548
C 0.685 0.428 0.422
C 0.487 0.878 0.777
C 0.142 0.551 0.717
C 0.634 0.923 0.899
C 0.358 0.551 0.217
C 0.331 0.129 0.708
C 0.019 0.287 0.364
C 0.476 0.422 0.927
C 0.681 0.291 0.364
C 0.815 0.428 0.922
C 0.858 0.715 0.336
C 0.366 0.077 0.101
C 0.866 0.923 0.399
C 0.481 0.287 0.864
C 0.642 0.449 0.783
C 0.519 0.713 0.136
C 0.319 0.709 0.636
C 0.513 0.122 0.223
C 0.720 0.760 0.455
C 0.181 0.709 0.136
C 0.280 0.240 0.545
C 0.819 0.291 0.864
C 0.024 0.422 0.427
C 0.831 0.871 0.792
C 0.780 0.760 0.955
C 0.642 0.715 0.836
C 0.169 0.129 0.208
C 0.987 0.122 0.723
C 0.976 0.578 0.573
C 0.142 0.285 0.664
C 0.315 0.572 0.578
C 0.669 0.871 0.292
C 0.358 0.285 0.164
C 0.858 0.449 0.283
C 0.185 0.572 0.078
C 0.981 0.713 0.636
C 0.524 0.578 0.073
C 0.013 0.878 0.277
C 0.134 0.077 0.601
C 0.220 0.240 0.045
Br 0.825 0.098 0.060
Br 0.325 0.902 0.440
Br 0.176 0.691 0.862
Br 0.824 0.309 0.138
Br 0.324 0.691 0.362
Br 0.175 0.902 0.940
Br 0.676 0.309 0.638
Br 0.675 0.098 0.560
O 0.130 0.017 0.576
O 0.611 0.088 0.276
O 0.358 0.281 0.486
O 0.141 0.493 0.782
O 0.121 0.240 0.349
O 0.356 0.353 0.178
O 0.557 0.902 0.246
O 0.142 0.281 0.986
O 0.943 0.902 0.746
O 0.858 0.719 0.014
O 0.918 0.472 0.938
O 0.926 0.248 0.847
O 0.870 0.983 0.424
O 0.630 0.983 0.924
O 0.418 0.528 0.562
O 0.641 0.507 0.718
O 0.144 0.353 0.678
O 0.621 0.760 0.151
O 0.574 0.248 0.347
O 0.859 0.507 0.218
O 0.872 0.541 0.548
O 0.628 0.541 0.048
O 0.889 0.088 0.776
O 0.642 0.719 0.514
O 0.856 0.647 0.322
O 0.359 0.493 0.282
O 0.379 0.240 0.849
O 0.879 0.760 0.651
O 0.426 0.752 0.653
O 0.443 0.098 0.754
O 0.582 0.472 0.438
O 0.057 0.098 0.254
O 0.074 0.752 0.153
O 0.111 0.912 0.224
O 0.389 0.912 0.724
O 0.370 0.017 0.076
O 0.128 0.459 0.452
O 0.372 0.459 0.952
O 0.644 0.647 0.822
O 0.082 0.528 0.062

## Properties
- calculated volume (A^3/atom) = 19.2
- space group = No. 14
- magnetic moment (μB per formula unit) = 0.04
- electronic total energy (hartree per atom) = -0.260
- energy with MP2020 corrections (eV per atom) = -7.486